(1)
## CaBPd3 (r²SCAN)

Data for a relaxed structure of CaBPd3.

Cell lengths 4.278, 4.278, 4.278 Å; angles 90.00, 90.00, 90.00 degrees
Atoms (fractional coordinates):
Ca: 0.500 0.500 0.500
Pd: 0.000 0.500 0.000
Pd: 0.500 0.000 0.000
Pd: 0.000 0.000 0.500
B: 0.000 0.000 0.000

(2)
## NbSiAs (r²SCAN)

Data for a relaxed structure of NbSiAs.

Cell lengths 3.509, 3.509, 7.947 Å; angles 90.00, 90.00, 90.00 degrees
Atoms (fractional coordinates):
Nb: 0.250 0.250 0.254
Nb: 0.750 0.750 0.746
Si: 0.250 0.750 0.000
Si: 0.750 0.250 0.000
As: 0.250 0.250 0.614
As: 0.750 0.750 0.386

(3)
## GaGeTe (r²SCAN)

Data for a relaxed structure of GaGeTe.

Cell lengths 12.233, 12.233, 12.233 Å; angles 19.16, 19.16, 19.16 degrees
Atoms (fractional coordinates):
Ge: 0.678 0.678 0.678
Ge: 0.322 0.322 0.322
Te: 0.886 0.886 0.886
Ga: 0.745 0.745 0.745
Te: 0.114 0.114 0.114
Ga: 0.255 0.255 0.255

(4)
## PmTlAu2 (r²SCAN)

Data for a relaxed structure of PmTlAu2.

Cell lengths 5.055, 5.055, 5.055 Å; angles 60.00, 60.00, 60.00 degrees
Atoms (fractional coordinates):
Pm: 0.250 0.250 0.250
Au: 0.500 0.500 0.500
Au: 0.000 0.000 0.000
Tl: 0.750 0.750 0.750

(5)
## ZrBr (r²SCAN)

Data for a relaxed structure of ZrBr.

Cell lengths 9.833, 9.833, 9.833 Å; angles 20.71, 20.71, 20.71 degrees
Atoms (fractional coordinates):
Br: 0.606 0.606 0.606
Zr: 0.207 0.207 0.207
Br: 0.394 0.394 0.394
Zr: 0.793 0.793 0.793

(6)
## Ni12P5 (r²SCAN)

Data for a relaxed structure of Ni12P5.

Cell lengths 5.032, 6.535, 6.534 Å; angles 81.49, 67.35, 67.36 degrees
Atoms (fractional coordinates):
Ni: 0.365 0.696 0.574
P: 0.805 0.781 0.608
Ni: 0.635 0.936 0.298
Ni: 0.061 0.574 0.304
Ni: 0.939 0.426 0.696
P: 0.195 0.219 0.392
P: 0.587 0.608 0.219
Ni: 0.635 0.304 0.426
Ni: 0.570 0.298 0.064
Ni: 0.132 0.936 0.298
Ni: 0.933 0.702 0.936
P: 0.413 0.392 0.781
Ni: 0.365 0.064 0.702
Ni: 0.430 0.702 0.936
Ni: 0.868 0.064 0.702
P: 0.000 0.000 0.000
Ni: 0.067 0.298 0.064

(7)
## Ba3Al2Sn2 (r²SCAN)

Data for a relaxed structure of Ba3Al2Sn2.

Cell lengths 4.621, 5.302, 10.938 Å; angles 104.02, 102.20, 90.00 degrees
Atoms (fractional coordinates):
Al: 0.938 0.438 0.877
Ba: 0.500 0.000 0.000
Sn: 0.635 0.635 0.270
Ba: 0.818 0.818 0.636
Sn: 0.365 0.365 0.730
Ba: 0.182 0.182 0.364
Al: 0.062 0.562 0.123

(8)
## Pm3Zn (r²SCAN)

Data for a relaxed structure of Pm3Zn.

Cell lengths 7.050, 7.050, 5.209 Å; angles 90.00, 90.00, 120.00 degrees
Atoms (fractional coordinates):
Pm: 0.821 0.642 0.750
Zn: 0.667 0.333 0.250
Zn: 0.333 0.667 0.750
Pm: 0.358 0.179 0.750
Pm: 0.179 0.821 0.250
Pm: 0.179 0.358 0.250
Pm: 0.821 0.179 0.750
Pm: 0.642 0.821 0.250

(9)
## SrHo2O4 (r²SCAN)

Data for a relaxed structure of SrHo2O4.

Cell lengths 3.389, 10.029, 11.856 Å; angles 90.00, 90.00, 90.00 degrees
Atoms (fractional coordinates):
O: 0.750 0.926 0.077
Ho: 0.750 0.423 0.612
O: 0.750 0.125 0.480
O: 0.250 0.788 0.826
O: 0.250 0.288 0.674
O: 0.750 0.212 0.174
O: 0.750 0.515 0.783
O: 0.750 0.625 0.020
Ho: 0.250 0.077 0.112
Sr: 0.250 0.748 0.150
Ho: 0.250 0.577 0.889
Sr: 0.750 0.752 0.650
Sr: 0.750 0.252 0.850
O: 0.250 0.985 0.283
Ho: 0.750 0.423 0.111
Ho: 0.750 0.923 0.389
Ho: 0.250 0.577 0.388
O: 0.250 0.875 0.520
O: 0.250 0.574 0.577
O: 0.250 0.375 0.980
O: 0.750 0.015 0.717
Sr: 0.250 0.248 0.350
O: 0.250 0.074 0.923
O: 0.750 0.426 0.423
Ho: 0.750 0.923 0.888
Ho: 0.250 0.077 0.611
O: 0.750 0.712 0.326
O: 0.250 0.485 0.217

(10)
## LiCu4P3O12 (r²SCAN)

Data for a relaxed structure of LiCu4P3O12.

Cell lengths 5.917, 10.057, 14.238 Å; angles 90.02, 90.01, 90.00 degrees
Atoms (fractional coordinates):
O: 0.043 0.967 0.115
O: 0.033 0.204 0.013
O: 0.968 0.797 0.988
P: 0.632 0.365 0.927
O: 0.187 0.241 0.646
O: 0.919 0.344 0.161
O: 0.336 0.046 0.548
O: 0.580 0.844 0.840
O: 0.336 0.045 0.953
P: 0.132 0.135 0.927
O: 0.664 0.954 0.048
O: 0.038 0.449 0.752
P: 0.018 0.405 0.251
O: 0.687 0.259 0.854
O: 0.543 0.533 0.385
O: 0.782 0.114 0.250
Cu: 0.144 0.443 0.584
O: 0.462 0.949 0.245
Li: 0.435 0.232 0.750
O: 0.466 0.704 0.988
O: 0.282 0.386 0.250
P: 0.132 0.135 0.573
Cu: 0.054 0.847 0.866
O: 0.081 0.659 0.840
Cu: 0.447 0.348 0.134
P: 0.369 0.635 0.427
O: 0.311 0.739 0.147
P: 0.869 0.865 0.073
O: 0.188 0.240 0.854
O: 0.956 0.033 0.886
P: 0.368 0.635 0.073
Cu: 0.855 0.558 0.084
O: 0.420 0.160 0.160
O: 0.044 0.966 0.386
O: 0.538 0.051 0.748
Li: 0.934 0.269 0.750
Cu: 0.856 0.556 0.413
O: 0.811 0.760 0.354
Li: 0.565 0.769 0.250
Cu: 0.357 0.944 0.087
O: 0.966 0.796 0.512
P: 0.981 0.595 0.750
P: 0.518 0.095 0.249
P: 0.632 0.365 0.573
O: 0.533 0.297 0.012
Cu: 0.446 0.345 0.366
O: 0.836 0.455 0.547
Cu: 0.144 0.444 0.913
Cu: 0.054 0.845 0.634
O: 0.217 0.886 0.750
Cu: 0.645 0.057 0.916
O: 0.962 0.551 0.254
O: 0.164 0.545 0.047
O: 0.717 0.615 0.750
O: 0.580 0.841 0.661
O: 0.836 0.454 0.952
O: 0.468 0.702 0.512
O: 0.814 0.758 0.145
O: 0.920 0.340 0.340
O: 0.314 0.742 0.355
Cu: 0.554 0.655 0.866
O: 0.419 0.155 0.339
Cu: 0.554 0.653 0.634
Cu: 0.946 0.155 0.134
O: 0.664 0.954 0.453
O: 0.544 0.533 0.114
O: 0.080 0.657 0.661
Cu: 0.946 0.153 0.366
O: 0.164 0.546 0.452
O: 0.456 0.467 0.614
Cu: 0.355 0.940 0.417
O: 0.457 0.468 0.885
Cu: 0.644 0.056 0.587
P: 0.867 0.864 0.427
P: 0.481 0.905 0.750
O: 0.689 0.260 0.646
O: 0.957 0.033 0.615
O: 0.033 0.203 0.488
O: 0.533 0.296 0.488
Li: 0.065 0.732 0.250

(11)
## TiInPd2 (r²SCAN)

Data for a relaxed structure of TiInPd2.

Cell lengths 4.524, 4.542, 4.525 Å; angles 59.90, 60.33, 59.92 degrees
Atoms (fractional coordinates):
Ti: 0.750 0.750 0.750
Pd: 0.500 0.500 0.500
In: 0.250 0.250 0.250
Pd: 0.000 0.000 0.000

(12)
## Zr5Ga4 (r²SCAN)

Data for a relaxed structure of Zr5Ga4.

Cell lengths 8.376, 8.376, 5.755 Å; angles 90.00, 90.00, 120.00 degrees
Atoms (fractional coordinates):
Zr: 0.276 0.000 0.750
Zr: 0.276 0.276 0.250
Zr: 0.724 0.000 0.250
Ga: 0.380 0.380 0.750
Ga: 0.000 0.380 0.250
Ga: 0.000 0.000 0.500
Zr: 0.000 0.276 0.750
Ga: 0.000 0.620 0.750
Zr: 0.333 0.667 0.000
Ga: 0.620 0.000 0.750
Zr: 0.724 0.724 0.750
Zr: 0.333 0.667 0.500
Ga: 0.000 0.000 0.000
Ga: 0.380 0.000 0.250
Zr: 0.667 0.333 0.500
Zr: 0.000 0.724 0.250
Ga: 0.620 0.620 0.250
Zr: 0.667 0.333 0.000

(13)
## Tb5Bi3 (r²SCAN)

Data for a relaxed structure of Tb5Bi3.

Cell lengths 8.275, 9.508, 12.103 Å; angles 90.00, 90.00, 90.00 degrees
Atoms (fractional coordinates):
Tb: 0.694 0.937 0.059
Bi: 0.066 0.504 0.174
Bi: 0.566 0.504 0.326
Bi: 0.934 0.004 0.826
Tb: 0.025 0.750 0.988
Tb: 0.806 0.437 0.559
Tb: 0.694 0.563 0.059
Tb: 0.855 0.750 0.286
Bi: 0.410 0.750 0.958
Tb: 0.475 0.250 0.488
Bi: 0.910 0.750 0.542
Bi: 0.590 0.250 0.042
Tb: 0.806 0.063 0.559
Tb: 0.306 0.437 0.941
Tb: 0.194 0.563 0.441
Bi: 0.090 0.250 0.458
Tb: 0.194 0.937 0.441
Bi: 0.434 0.004 0.674
Tb: 0.306 0.063 0.941
Tb: 0.645 0.250 0.786
Tb: 0.185 0.750 0.719
Bi: 0.066 0.996 0.174
Tb: 0.815 0.250 0.281
Tb: 0.685 0.750 0.781
Bi: 0.566 0.996 0.326
Tb: 0.355 0.750 0.214
Tb: 0.145 0.250 0.714
Tb: 0.525 0.750 0.512
Bi: 0.934 0.496 0.826
Tb: 0.975 0.250 0.012
Tb: 0.315 0.250 0.219
Bi: 0.434 0.496 0.674

(14)
## K2Tl6Tc (r²SCAN)

Data for a relaxed structure of K2Tl6Tc.

Cell lengths 7.196, 7.196, 7.196 Å; angles 60.00, 60.00, 60.00 degrees
Atoms (fractional coordinates):
Tl: 0.270 0.270 0.730
K: 0.250 0.250 0.250
Tl: 0.730 0.730 0.270
Tl: 0.730 0.270 0.730
Tl: 0.270 0.730 0.270
Tc: 0.000 0.000 0.000
K: 0.750 0.750 0.750
Tl: 0.730 0.270 0.270
Tl: 0.270 0.730 0.730

(15)
## Rb3Cu2Cl7 (r²SCAN)

Data for a relaxed structure of Rb3Cu2Cl7.

Cell lengths 12.984, 12.984, 7.164 Å; angles 90.00, 90.00, 148.02 degrees
Atoms (fractional coordinates):
Cl: 0.188 0.371 0.721
Cl: 0.312 0.129 0.779
Cl: 0.812 0.629 0.721
Cl: 0.189 0.811 0.000
Rb: 0.821 0.179 0.500
Cl: 0.500 0.500 0.500
Cu: 0.094 0.906 0.000
Cl: 0.000 0.000 0.000
Cl: 0.629 0.812 0.279
Rb: 0.179 0.821 0.500
Cu: 0.406 0.594 0.500
Rb: 0.321 0.679 0.000
Cl: 0.311 0.689 0.500
Cl: 0.689 0.311 0.500
Cl: 0.871 0.688 0.221
Cu: 0.906 0.094 0.000
Rb: 0.679 0.321 0.000
Rb: 0.500 0.500 0.000
Cl: 0.129 0.312 0.221
Cl: 0.811 0.189 0.000
Cl: 0.371 0.188 0.279
Cu: 0.594 0.406 0.500
Rb: 0.000 0.000 0.500
Cl: 0.688 0.871 0.779

(16)
## PmHoMg2 (r²SCAN)

Data for a relaxed structure of PmHoMg2.

Cell lengths 5.402, 5.402, 5.402 Å; angles 60.00, 60.00, 60.00 degrees
Atoms (fractional coordinates):
Mg: 0.500 0.500 0.500
Ho: 0.250 0.250 0.250
Mg: 0.000 0.000 0.000
Pm: 0.750 0.750 0.750

(17)
## Pm2CdSn (r²SCAN)

Data for a relaxed structure of Pm2CdSn.

Cell lengths 5.395, 5.395, 5.395 Å; angles 60.00, 60.00, 60.00 degrees
Atoms (fractional coordinates):
Pm: 0.500 0.500 0.500
Pm: 0.000 0.000 0.000
Sn: 0.750 0.750 0.750
Cd: 0.250 0.250 0.250

(18)
## GaTeCl (r²SCAN)

Data for a relaxed structure of GaTeCl.

Cell lengths 4.111, 5.905, 14.887 Å; angles 90.00, 90.00, 90.00 degrees
Atoms (fractional coordinates):
Ga: 0.500 0.474 0.811
Te: 0.000 0.748 0.842
Cl: 0.000 0.265 0.423
Cl: 0.500 0.235 0.923
Ga: 0.000 0.974 0.689
Cl: 0.500 0.765 0.077
Ga: 0.500 0.526 0.189
Cl: 0.000 0.735 0.577
Te: 0.500 0.752 0.342
Te: 0.000 0.252 0.158
Te: 0.500 0.248 0.658
Ga: 0.000 0.026 0.311

We obtain formation energy values of -2.77, -1.89, -0.89, -2.56, -2.37, -8.01, -4.17, -0.32, -25.81, -36.09, -2.45, -5.59, -6.77, 1.07, -17.30, -0.39, -2.42, -2.46 eV/f.u. for the records listed above, in that order.